Entry 1:
Entry from the Materials Project database: a relaxed structure of K9Y3Si12O32F2 (PBE).

a b c (Å): 6.935 11.521 11.534
angles (deg): 87.86 89.74 80.45
Element x y z (fractional)
K 0.000 0.000 0.000
K 0.234 0.386 0.983
K 0.329 0.194 0.224
K 0.337 0.155 0.786
K 0.478 0.669 0.489
K 0.522 0.331 0.511
K 0.663 0.845 0.214
K 0.671 0.806 0.776
K 0.766 0.614 0.017
Y 0.012 0.511 0.663
Y 0.500 0.000 0.500
Y 0.988 0.489 0.337
Si 0.058 0.233 0.510
Si 0.156 0.909 0.303
Si 0.163 0.865 0.689
Si 0.190 0.695 0.159
Si 0.213 0.667 0.879
Si 0.486 0.487 0.258
Si 0.514 0.513 0.742
Si 0.787 0.333 0.121
Si 0.810 0.305 0.841
Si 0.837 0.135 0.311
Si 0.844 0.091 0.697
Si 0.942 0.767 0.490
O 0.004 0.647 0.215
O 0.009 0.792 0.625
O 0.030 0.376 0.515
O 0.039 0.604 0.834
O 0.042 0.994 0.727
O 0.110 0.814 0.405
O 0.192 0.836 0.182
O 0.198 0.685 0.018
O 0.220 0.798 0.817
O 0.274 0.163 0.539
O 0.311 0.428 0.314
O 0.336 0.508 0.654
O 0.343 0.966 0.334
O 0.355 0.877 0.616
O 0.404 0.626 0.210
O 0.432 0.585 0.861
O 0.568 0.415 0.139
O 0.596 0.374 0.790
O 0.645 0.123 0.384
O 0.657 0.034 0.666
O 0.664 0.492 0.346
O 0.689 0.572 0.686
O 0.726 0.837 0.461
O 0.780 0.202 0.183
O 0.802 0.315 0.982
O 0.808 0.164 0.818
O 0.890 0.186 0.595
O 0.958 0.006 0.273
O 0.961 0.396 0.166
O 0.970 0.624 0.485
O 0.991 0.208 0.375
O 0.996 0.353 0.785
F 0.253 0.159 0.005
F 0.747 0.841 0.995

SG   No. 2
Size of the total moment   0.00 Bohr magnetons per cell



Entry 2:
Entry from the Materials Project database: a relaxed structure of GaN2OF5 (PBE).

a b c (Å): 9.407 8.405 6.785
angles (deg): 90.00 90.00 90.00
Element x y z (fractional)
Ga 0.000 0.094 0.250
Ga 0.000 0.906 0.750
Ga 0.500 0.406 0.750
Ga 0.500 0.594 0.250
N 0.157 0.404 0.735
N 0.157 0.596 0.235
N 0.343 0.096 0.235
N 0.343 0.904 0.735
N 0.657 0.096 0.265
N 0.657 0.904 0.765
N 0.843 0.404 0.765
N 0.843 0.596 0.265
O 0.000 0.129 0.750
O 0.000 0.871 0.250
O 0.500 0.371 0.250
O 0.500 0.629 0.750
F 0.000 0.499 0.250
F 0.000 0.501 0.750
F 0.086 0.131 0.512
F 0.086 0.869 0.012
F 0.166 0.194 0.164
F 0.166 0.806 0.664
F 0.334 0.306 0.664
F 0.334 0.694 0.164
F 0.414 0.369 0.012
F 0.414 0.631 0.512
F 0.500 0.001 0.750
F 0.500 0.999 0.250
F 0.586 0.369 0.488
F 0.586 0.631 0.988
F 0.666 0.306 0.836
F 0.666 0.694 0.336
F 0.834 0.194 0.336
F 0.834 0.806 0.836
F 0.914 0.131 0.988
F 0.914 0.869 0.488

SG   No. 60
Size of the total moment   16.03 Bohr magnetons per cell



The evaluated formation enthalpy at 0 K for the records listed, in turn: -3.2013 -0.3019 eV/atom.